1.
{"formula": "Nb2VSe4", "functional": "r2SCAN", "state": "relaxed", "cell": [[0.000, 3.552, 0.000], [-0.034, 0.000, 6.362], [6.240, -1.776, -2.995]], "species": ["Nb", "Nb", "Se", "Se", "Se", "Se", "V"], "frac_coords": [[0.108, 0.702, 0.215], [0.620, 0.345, 0.240], [0.727, 0.045, 0.454], [0.001, 0.002, 0.002], [0.466, 0.471, 0.931], [0.262, 0.576, 0.524], [0.364, 0.023, 0.728]], "density_g_cm3": 6.52, "total_magnetization_mub_per_cell": 2.41, "e_tot_ev_per_fu": -128.00}


2.
{"formula": "Nb3Si2", "functional": "r2SCAN", "state": "relaxed", "cell": [[-4.959, 1.485, 4.325], [-2.515, -6.214, -0.750], [1.994, -1.130, 2.674]], "species": ["Si", "Si", "Si", "Si", "Nb", "Nb", "Nb", "Nb", "Nb", "Nb"], "frac_coords": [[0.873, 0.373, 0.000], [0.127, 0.627, 0.000], [0.373, 0.127, 0.000], [0.627, 0.873, 0.000], [0.000, 0.000, 0.000], [0.829, 0.671, 0.500], [0.171, 0.329, 0.500], [0.671, 0.171, 0.500], [0.500, 0.500, 0.000], [0.329, 0.829, 0.500]], "density_g_cm3": 6.94, "total_magnetization_mub_per_cell": 0.00, "e_tot_ev_per_fu": -95.18}


3.
{"formula": "NbSn2", "functional": "r2SCAN", "state": "relaxed", "cell": [[5.467, 0.000, 1.609], [2.733, 4.965, 0.804], [0.021, 0.000, 10.020]], "species": ["Sn", "Sn", "Sn", "Sn", "Sn", "Sn", "Sn", "Sn", "Nb", "Nb", "Nb", "Nb"], "frac_coords": [[0.043, 0.914, 0.250], [0.292, 0.250, 0.416], [0.707, 0.586, 0.250], [0.458, 0.250, 0.084], [0.293, 0.414, 0.750], [0.542, 0.750, 0.916], [0.957, 0.086, 0.750], [0.708, 0.750, 0.584], [0.998, 0.750, 0.004], [0.002, 0.250, 0.996], [0.252, 0.750, 0.496], [0.748, 0.250, 0.504]], "density_g_cm3": 8.07, "total_magnetization_mub_per_cell": 0.00, "e_tot_ev_per_fu": -74.58}


4.
{"formula": "Nb3Sn", "functional": "r2SCAN", "state": "relaxed", "cell": [[5.325, 0.000, 0.000], [0.000, 5.325, 0.000], [0.000, 0.000, 5.325]], "species": ["Nb", "Nb", "Nb", "Nb", "Nb", "Nb", "Sn", "Sn"], "frac_coords": [[0.500, 0.250, 0.000], [0.250, 0.000, 0.500], [0.000, 0.500, 0.250], [0.500, 0.750, 0.000], [0.000, 0.500, 0.750], [0.750, 0.000, 0.500], [0.500, 0.500, 0.500], [0.000, 0.000, 0.000]], "density_g_cm3": 8.74, "total_magnetization_mub_per_cell": 0.00, "e_tot_ev_per_fu": -99.83}


5.
{"formula": "TbNb6Sn6", "functional": "r2SCAN", "state": "relaxed", "cell": [[2.901, -5.025, 0.000], [2.901, 5.025, 0.000], [0.000, 0.000, 9.587]], "species": ["Sn", "Sn", "Sn", "Sn", "Sn", "Sn", "Nb", "Nb", "Nb", "Nb", "Nb", "Nb", "Tb"], "frac_coords": [[0.667, 0.333, 0.000], [0.000, 0.000, 0.671], [0.667, 0.333, 0.500], [0.000, 0.000, 0.329], [0.333, 0.667, 0.500], [0.333, 0.667, 0.000], [0.500, 0.500, 0.250], [0.500, 0.000, 0.750], [0.500, 0.500, 0.750], [0.000, 0.500, 0.250], [0.500, 0.000, 0.250], [0.000, 0.500, 0.750], [0.000, 0.000, 0.000]], "density_g_cm3": 8.49, "total_magnetization_mub_per_cell": 0.00, "e_tot_ev_per_fu": -332.83}


6.
{"formula": "TaNb", "functional": "r2SCAN", "state": "relaxed", "cell": [[1.658, -2.349, 0.000], [1.658, 2.349, 0.000], [0.000, 0.000, 4.677]], "species": ["Nb", "Ta"], "frac_coords": [[0.000, 0.000, 0.000], [0.500, 0.500, 0.500]], "density_g_cm3": 12.48, "total_magnetization_mub_per_cell": 0.00, "e_tot_ev_per_fu": -73.30}


Copy entry 6 word for word.
{"formula": "TaNb", "functional": "r2SCAN", "state": "relaxed", "cell": [[1.658, -2.349, 0.000], [1.658, 2.349, 0.000], [0.000, 0.000, 4.677]], "species": ["Nb", "Ta"], "frac_coords": [[0.000, 0.000, 0.000], [0.500, 0.500, 0.500]], "density_g_cm3": 12.48, "total_magnetization_mub_per_cell": 0.00, "e_tot_ev_per_fu": -73.30}